## MgFe6O6F6 (GGA+U)

Data for a relaxed MgFe6O6F6 crystal.

Geometry as CIF:
```
data_MgFe6O6F6
_chemical_formula_sum 'Mg1 Fe6 O6 F6'
_cell_length_a 5.080
_cell_length_b 14.448
_cell_length_c 3.125
_cell_angle_alpha 90.07
_cell_angle_beta 89.99
_cell_angle_gamma 84.08
_space_group_name_H-M_alt 'P 1'
_space_group_IT_number 1
_space_group_name_Hall 'P 1'
loop_
_atom_site_label
_atom_site_type_symbol
_atom_site_fract_x
_atom_site_fract_y
_atom_site_fract_z
O1 O 0.463 0.751 0.981
O2 O 0.180 0.945 0.490
O3 O 0.606 0.236 0.994
O4 O 0.326 0.585 0.479
O5 O 0.098 0.254 0.495
O6 O 0.150 0.415 0.993
F1 F 0.679 0.395 0.494
F2 F 0.708 0.923 0.985
F3 F 0.290 0.101 0.992
F4 F 0.787 0.077 0.491
F5 F 0.829 0.598 0.974
F6 F 0.917 0.749 0.475
Fe1 Fe 0.917 0.310 0.995
Fe2 Fe 0.451 0.182 0.494
Fe3 Fe 0.010 0.000 0.990
Fe4 Fe 0.508 0.851 0.481
Fe5 Fe 0.153 0.677 0.976
Fe6 Fe 0.306 0.459 0.493
Mg1 Mg 0.636 0.660 0.476
```

Output
Formation energy   -2130 meV per atom
Excess energy over the best structure of this formula in the dataset   0.014 eV per atom